Record 1
Below is crystalline LiH5SN2O4 at its relaxed geometry, with properties calculated at the GGA-PBE level.

Lattice parameters (Å, degrees): 10.052 9.162 5.137 90.00 90.00 90.00
Element x y z (fractional)
Li: 0.169 0.065 0.000
Li: 0.331 0.565 0.500
Li: 0.669 0.435 0.000
Li: 0.831 0.935 0.500
H: 0.014 0.531 0.189
H: 0.027 0.215 0.659
H: 0.056 0.240 0.334
H: 0.118 0.615 0.984
H: 0.157 0.318 0.565
H: 0.343 0.818 0.065
H: 0.382 0.115 0.484
H: 0.444 0.740 0.834
H: 0.473 0.715 0.159
H: 0.486 0.031 0.689
H: 0.514 0.969 0.189
H: 0.527 0.285 0.659
H: 0.556 0.260 0.334
H: 0.618 0.885 0.984
H: 0.657 0.182 0.565
H: 0.843 0.682 0.065
H: 0.882 0.385 0.484
H: 0.944 0.760 0.834
H: 0.973 0.785 0.159
H: 0.986 0.469 0.689
S: 0.158 0.868 0.498
S: 0.342 0.368 0.998
S: 0.658 0.632 0.498
S: 0.842 0.132 0.998
N: 0.022 0.581 0.008
N: 0.059 0.289 0.517
N: 0.441 0.789 0.017
N: 0.478 0.081 0.508
N: 0.522 0.919 0.008
N: 0.559 0.211 0.517
N: 0.941 0.711 0.017
N: 0.978 0.419 0.508
O: 0.011 0.842 0.517
O: 0.192 0.888 0.215
O: 0.194 0.002 0.643
O: 0.229 0.739 0.603
O: 0.271 0.239 0.103
O: 0.306 0.502 0.143
O: 0.308 0.388 0.715
O: 0.489 0.342 0.017
O: 0.511 0.658 0.517
O: 0.692 0.612 0.215
O: 0.694 0.498 0.643
O: 0.729 0.761 0.603
O: 0.771 0.261 0.103
O: 0.806 0.998 0.143
O: 0.808 0.112 0.715
O: 0.989 0.158 0.017

Computed properties:
Largest piezoelectric modulus   0.3 C/m²
Uncorrected energy   -286.97 eV per cell
Space-group type   Pna2_1 (33)
Crystal system   orthorhombic
ΔH_f (0 K)   -1.16 eV/atom



Record 2
Below is crystalline Li3P11H51N17 at its relaxed geometry, with properties calculated at the GGA-PBE level.

Lattice parameters (Å, degrees): 11.990 12.584 12.597 89.96 80.13 80.35
Element x y z (fractional)
Li: 0.126 0.392 0.284
Li: 0.218 0.747 0.915
Li: 0.254 0.978 0.240
Li: 0.746 0.022 0.760
Li: 0.782 0.253 0.085
Li: 0.874 0.608 0.716
P: 0.101 0.215 0.689
P: 0.115 0.316 0.833
P: 0.144 0.048 0.735
P: 0.217 0.195 0.930
P: 0.245 0.420 0.760
P: 0.252 0.410 0.587
P: 0.262 0.236 0.578
P: 0.294 0.069 0.802
P: 0.366 0.266 0.947
P: 0.394 0.166 0.680
P: 0.407 0.311 0.780
P: 0.593 0.689 0.220
P: 0.606 0.834 0.320
P: 0.634 0.734 0.053
P: 0.706 0.931 0.198
P: 0.738 0.764 0.422
P: 0.748 0.590 0.413
P: 0.755 0.580 0.240
P: 0.783 0.805 0.070
P: 0.856 0.952 0.265
P: 0.885 0.684 0.167
P: 0.899 0.785 0.311
H: 0.001 0.463 0.137
H: 0.015 0.703 0.570
H: 0.018 0.331 0.130
H: 0.027 0.887 0.478
H: 0.037 0.878 0.026
H: 0.042 0.056 0.210
H: 0.051 0.382 0.484
H: 0.055 0.570 0.581
H: 0.085 0.918 0.583
H: 0.089 0.140 0.285
H: 0.095 0.604 0.305
H: 0.109 0.938 0.927
H: 0.112 0.621 0.050
H: 0.124 0.392 0.079
H: 0.126 0.756 0.725
H: 0.132 0.135 0.152
H: 0.139 0.807 0.240
H: 0.141 0.810 0.508
H: 0.150 0.926 0.044
H: 0.193 0.553 0.377
H: 0.206 0.545 0.957
H: 0.225 0.651 0.732
H: 0.228 0.550 0.245
H: 0.249 0.601 0.056
H: 0.256 0.735 0.437
H: 0.260 0.771 0.712
H: 0.260 0.777 0.285
H: 0.263 0.788 0.156
H: 0.267 0.064 0.433
H: 0.276 0.933 0.430
H: 0.289 0.220 0.314
H: 0.310 0.258 0.187
H: 0.338 0.332 0.284
H: 0.363 0.998 0.045
H: 0.364 0.711 0.502
H: 0.367 0.915 0.616
H: 0.382 0.675 0.374
H: 0.382 0.851 0.871
H: 0.389 0.985 0.384
H: 0.416 0.484 0.075
H: 0.419 0.463 0.205
H: 0.427 0.057 0.125
H: 0.430 0.434 0.413
H: 0.433 0.727 0.822
H: 0.437 0.579 0.155
H: 0.444 0.759 0.945
H: 0.455 0.536 0.663
H: 0.455 0.926 0.112
H: 0.468 0.663 0.641
H: 0.478 0.847 0.533
H: 0.480 0.858 0.662
H: 0.520 0.142 0.338
H: 0.522 0.153 0.467
H: 0.532 0.337 0.359
H: 0.545 0.074 0.888
H: 0.545 0.464 0.337
H: 0.556 0.241 0.055
H: 0.563 0.421 0.845
H: 0.567 0.273 0.178
H: 0.570 0.566 0.587
H: 0.573 0.943 0.875
H: 0.581 0.537 0.795
H: 0.584 0.516 0.925
H: 0.611 0.015 0.616
H: 0.618 0.149 0.129
H: 0.618 0.325 0.626
H: 0.633 0.085 0.384
H: 0.636 0.289 0.498
H: 0.637 0.002 0.955
H: 0.662 0.668 0.716
H: 0.690 0.742 0.813
H: 0.711 0.780 0.686
H: 0.724 0.067 0.570
H: 0.733 0.936 0.567
H: 0.737 0.212 0.844
H: 0.740 0.223 0.715
H: 0.740 0.229 0.288
H: 0.744 0.265 0.563
H: 0.751 0.399 0.944
H: 0.772 0.450 0.755
H: 0.775 0.349 0.268
H: 0.794 0.455 0.043
H: 0.807 0.447 0.623
H: 0.850 0.074 0.956
H: 0.859 0.190 0.492
H: 0.861 0.193 0.760
H: 0.868 0.865 0.848
H: 0.874 0.244 0.275
H: 0.876 0.608 0.921
H: 0.888 0.379 0.950
H: 0.891 0.062 0.073
H: 0.905 0.396 0.695
H: 0.911 0.860 0.715
H: 0.915 0.082 0.417
H: 0.945 0.430 0.419
H: 0.949 0.618 0.516
H: 0.958 0.944 0.790
H: 0.963 0.122 0.974
H: 0.973 0.113 0.522
H: 0.982 0.669 0.870
H: 0.985 0.297 0.430
H: 0.999 0.537 0.863
N: 0.015 0.369 0.418
N: 0.058 0.394 0.143
N: 0.065 0.857 0.541
N: 0.113 0.089 0.218
N: 0.118 0.886 0.989
N: 0.163 0.542 0.307
N: 0.192 0.615 0.004
N: 0.201 0.731 0.754
N: 0.222 0.822 0.230
N: 0.282 0.285 0.266
N: 0.302 0.996 0.386
N: 0.326 0.679 0.446
N: 0.389 0.991 0.119
N: 0.390 0.518 0.151
N: 0.390 0.771 0.890
N: 0.428 0.847 0.608
N: 0.488 0.411 0.344
N: 0.512 0.589 0.656
N: 0.572 0.153 0.392
N: 0.610 0.229 0.110
N: 0.610 0.482 0.849
N: 0.611 0.009 0.881
N: 0.674 0.321 0.554
N: 0.698 0.004 0.614
N: 0.718 0.715 0.734
N: 0.778 0.178 0.770
N: 0.799 0.269 0.246
N: 0.808 0.385 0.996
N: 0.837 0.458 0.693
N: 0.882 0.114 0.011
N: 0.887 0.911 0.782
N: 0.935 0.143 0.459
N: 0.942 0.606 0.857
N: 0.985 0.631 0.582

Computed properties:
Uncorrected energy   -815.12 eV per cell
Space-group type   P-1 (2)
Crystal system   triclinic
ΔH_f (0 K)   -0.41 eV/atom